(1)
DFT (GGA-PBE) results for a relaxed structure of Si.

Output
The value obtained for the calculated volume is 23.76 Å³ per atom. The electronic total energy is -217.94 eV for the cell shown. The space group is I-43m, No. 217.

Unit cell a=10.8171 b=10.8171 c=10.8171 alpha=109.47 beta=109.47 gamma=109.47
With the nearest neighbours (Å) after each atom.
Fractional positions:
Si: 0.7866 0.3918 0.1326  4 Si 2.34-2.38
Si: 0.3948 0.7408 0.6082  4 Si 2.34-2.38
Si: 0.6540 0.8674 0.2592  4 Si 2.34-2.38
Si: 0.6540 0.2592 0.8674  4 Si 2.34-2.38
Si: 0.7866 0.1326 0.3918  4 Si 2.34-2.38
Si: 0.3948 0.6082 0.7408  4 Si 2.34-2.38
Si: 0.2592 0.6540 0.8674  4 Si 2.34-2.38
Si: 0.1326 0.7866 0.3918  4 Si 2.34-2.38
Si: 0.6082 0.3948 0.7408  4 Si 2.34-2.38
Si: 0.3918 0.7866 0.1326  4 Si 2.34-2.38
Si: 0.7408 0.3948 0.6082  4 Si 2.34-2.38
Si: 0.8674 0.6540 0.2592  4 Si 2.34-2.38
Si: 0.7408 0.6082 0.3948  4 Si 2.34-2.38
Si: 0.8674 0.2592 0.6540  4 Si 2.34-2.38
Si: 0.3918 0.1326 0.7866  4 Si 2.34-2.38
Si: 0.6082 0.7408 0.3948  4 Si 2.34-2.38
Si: 0.2592 0.8674 0.6540  4 Si 2.34-2.38
Si: 0.1326 0.3918 0.7866  4 Si 2.34-2.38
Si: 0.2134 0.3460 0.6052  4 Si 2.34-2.38
Si: 0.6052 0.2134 0.3460  4 Si 2.34-2.38
Si: 0.3460 0.6052 0.2134  4 Si 2.34-2.38
Si: 0.3460 0.2134 0.6052  4 Si 2.34-2.38
Si: 0.2134 0.6052 0.3460  4 Si 2.34-2.38
Si: 0.6052 0.3460 0.2134  4 Si 2.34-2.38
Si: 0.0000 0.0000 0.2174  4 Si 2.35-2.39
Si: 0.0000 0.2174 0.0000  4 Si 2.35-2.39
Si: 0.7826 0.7826 0.7826  4 Si 2.35-2.39
Si: 0.2174 0.0000 0.0000  4 Si 2.35-2.39
Si: 0.0000 0.0000 0.0000  4 Si 2.35
Si: 0.0000 0.3593 0.2232  4 Si 2.38-2.40
Si: 0.6407 0.8639 0.6407  4 Si 2.38-2.40
Si: 0.7768 0.7768 0.1361  4 Si 2.38-2.40
Si: 0.7768 0.1361 0.7768  4 Si 2.38-2.40
Si: 0.0000 0.2232 0.3593  4 Si 2.38-2.40
Si: 0.6407 0.6407 0.8639  4 Si 2.38-2.40
Si: 0.1361 0.7768 0.7768  4 Si 2.38-2.40
Si: 0.2232 0.0000 0.3593  4 Si 2.38-2.40
Si: 0.3593 0.0000 0.2232  4 Si 2.38-2.40
Si: 0.8639 0.6407 0.6407  4 Si 2.38-2.40
Si: 0.3593 0.2232 0.0000  4 Si 2.38-2.40
Si: 0.2232 0.3593 0.0000  4 Si 2.38-2.40

(2)
DFT (GGA-PBE) results for a relaxed structure of Sr2CeSbO6.

Output
The value obtained for the calculated volume is 15.44 Å³ per atom. The electronic total energy is -275.49 eV for the cell shown. As for the MP2020-corrected energy: -0.5365 Ry per atom. The space group is Pn-3, No. 201.

Unit cell a=8.5168 b=8.5168 c=8.5168 alpha=90.00 beta=90.00 gamma=90.00
With the nearest neighbours (Å) after each atom.
Fractional positions:
Sr: 0.5000 0.5000 0.5000  12 O 3.01
Sr: 0.0000 0.0000 0.0000  12 O 3.01
Sr: 0.0000 0.0000 0.5000  4 O 2.55
Sr: 0.0000 0.5000 0.0000  4 O 2.55
Sr: 0.5000 0.0000 0.0000  4 O 2.55
Sr: 0.5000 0.5000 0.0000  4 O 2.55
Sr: 0.5000 0.0000 0.5000  4 O 2.55
Sr: 0.0000 0.5000 0.5000  4 O 2.55
Ce: 0.7500 0.7500 0.7500  6 O 2.31
Ce: 0.7500 0.2500 0.2500  6 O 2.31
Ce: 0.2500 0.7500 0.2500  6 O 2.31
Ce: 0.2500 0.2500 0.7500  6 O 2.31
Sb: 0.2500 0.2500 0.2500  6 O 2.05
Sb: 0.2500 0.7500 0.7500  6 O 2.05
Sb: 0.7500 0.2500 0.7500  6 O 2.05
Sb: 0.7500 0.7500 0.2500  6 O 2.05
O: 0.2151 0.2922 0.4844  1 Sb 2.05
O: 0.2151 0.7078 0.5156  1 Sb 2.05
O: 0.7849 0.2922 0.5156  1 Sb 2.05
O: 0.7849 0.7078 0.4844  1 Sb 2.05
O: 0.2922 0.4844 0.2151  1 Sb 2.05
O: 0.7078 0.5156 0.2151  1 Sb 2.05
O: 0.2922 0.5156 0.7849  1 Sb 2.05
O: 0.7078 0.4844 0.7849  1 Sb 2.05
O: 0.4844 0.2151 0.2922  1 Sb 2.05
O: 0.5156 0.2151 0.7078  1 Sb 2.05
O: 0.5156 0.7849 0.2922  1 Sb 2.05
O: 0.4844 0.7849 0.7078  1 Sb 2.05
O: 0.2849 0.2078 0.0156  1 Sb 2.05
O: 0.2849 0.7922 0.9844  1 Sb 2.05
O: 0.7151 0.2078 0.9844  1 Sb 2.05
O: 0.7151 0.7922 0.0156  1 Sb 2.05
O: 0.2078 0.0156 0.2849  1 Sb 2.05
O: 0.7922 0.9844 0.2849  1 Sb 2.05
O: 0.2078 0.9844 0.7151  1 Sb 2.05
O: 0.7922 0.0156 0.7151  1 Sb 2.05
O: 0.0156 0.2849 0.2078  1 Sb 2.05
O: 0.9844 0.2849 0.7922  1 Sb 2.05
O: 0.9844 0.7151 0.2078  1 Sb 2.05
O: 0.0156 0.7151 0.7922  1 Sb 2.05

(3)
DFT (GGA-PBE) results for a relaxed structure of BaCa2N2.

Output
The value obtained for the calculated volume is 21.31 Å³ per atom. The electronic total energy is -48.19 eV for the cell shown. As for the MP2020-corrected energy: -0.3648 Ry per atom. The space group is I4/mcm, No. 140.

Unit cell a=6.5436 b=7.8765 c=6.8701 alpha=90.00 beta=58.34 gamma=53.00
With the nearest neighbours (Å) after each atom.
Fractional positions:
Ba: 0.0000 0.0000 0.2500  8 N 3.40, 2 Ba 3.44, 8 Ca 3.54
Ba: 0.0000 0.0000 0.7500  8 N 3.40, 2 Ba 3.44, 8 Ca 3.54
Ca: 0.7434 0.5000 0.6283  3 N 2.28-2.34
Ca: 0.2566 0.5000 0.3717  3 N 2.28-2.34
Ca: 0.2566 0.2434 0.8717  3 N 2.28-2.34
Ca: 0.7434 0.7566 0.1283  3 N 2.28-2.34
N: 0.6664 0.5000 0.1668  3 Ca 2.28-2.34
N: 0.3336 0.5000 0.8332  3 Ca 2.28-2.34
N: 0.3336 0.1664 0.3332  3 Ca 2.28-2.34
N: 0.6664 0.8336 0.6668  3 Ca 2.28-2.34

(4)
DFT (GGA-PBE) results for a relaxed structure of Li2IO.

Output
The value obtained for the calculated volume is 21.10 Å³ per atom. The electronic total energy is -59.85 eV for the cell shown. As for the MP2020-corrected energy: -0.2875 Ry per atom. The space group is Pnma, No. 62.

Unit cell a=5.8717 b=10.3225 c=5.5702 alpha=90.00 beta=90.00 gamma=90.00
With the nearest neighbours (Å) after each atom.
Fractional positions:
Li: 0.9979 0.5952 0.6207  2 O 1.92
Li: 0.0021 0.4048 0.3793  2 O 1.92
Li: 0.0021 0.9048 0.1207  2 O 1.92
Li: 0.4979 0.4048 0.3793  2 O 1.92
Li: 0.9979 0.0952 0.8793  2 O 1.92
Li: 0.5021 0.5952 0.6207  2 O 1.92
Li: 0.5021 0.0952 0.8793  2 O 1.92
Li: 0.4979 0.9048 0.1207  2 O 1.92
I: 0.7500 0.8406 0.5656  1 O 2.60
I: 0.2500 0.1594 0.4344  1 O 2.60
I: 0.2500 0.6594 0.0656  1 O 2.60
I: 0.7500 0.3406 0.9344  1 O 2.60
O: 0.7500 0.9807 0.9535  4 Li 1.92
O: 0.2500 0.0193 0.0465  4 Li 1.92
O: 0.2500 0.5193 0.4535  4 Li 1.92
O: 0.7500 0.4807 0.5465  4 Li 1.92

(5)
DFT (GGA-PBE) results for a relaxed structure of SrTm2O4.

Output
The value obtained for the calculated volume is 14.38 Å³ per atom. The electronic total energy is -217.36 eV for the cell shown. As for the MP2020-corrected energy: -0.5994 Ry per atom. The space group is Pnma, No. 62.

Unit cell a=3.3730 b=10.0719 c=11.8507 alpha=90.00 beta=90.00 gamma=90.00
With the nearest neighbours (Å) after each atom.
Fractional positions:
Sr: 0.7500 0.2538 0.8503  8 O 2.60-2.86
Sr: 0.2500 0.7462 0.1497  8 O 2.60-2.86
Sr: 0.7500 0.7538 0.6497  8 O 2.60-2.86
Sr: 0.2500 0.2462 0.3503  8 O 2.60-2.86
Tm: 0.2500 0.5782 0.8906  6 O 2.20-2.33
Tm: 0.7500 0.4218 0.1094  6 O 2.20-2.33
Tm: 0.2500 0.0782 0.6094  6 O 2.20-2.33
Tm: 0.7500 0.9218 0.3906  6 O 2.20-2.33
Tm: 0.7500 0.9260 0.8878  6 O 2.23-2.30
Tm: 0.2500 0.0740 0.1122  6 O 2.23-2.30
Tm: 0.7500 0.4260 0.6122  6 O 2.23-2.30
Tm: 0.2500 0.5740 0.3878  6 O 2.23-2.30
O: 0.2500 0.5751 0.5762  3 Tm 2.23-2.30
O: 0.7500 0.4249 0.4238  3 Tm 2.23-2.30
O: 0.2500 0.0751 0.9238  3 Tm 2.23-2.30
O: 0.7500 0.9249 0.0762  3 Tm 2.23-2.30
O: 0.2500 0.4824 0.2164  3 Tm 2.20-2.23
O: 0.7500 0.5176 0.7836  3 Tm 2.20-2.23
O: 0.2500 0.9824 0.2836  3 Tm 2.20-2.23
O: 0.7500 0.0176 0.7164  3 Tm 2.20-2.23
O: 0.2500 0.8779 0.5205  3 Tm 2.28-2.33
O: 0.7500 0.1221 0.4795  3 Tm 2.28-2.33
O: 0.2500 0.3779 0.9795  3 Tm 2.28-2.33
O: 0.7500 0.6221 0.0205  3 Tm 2.28-2.33
O: 0.7500 0.7098 0.3301  3 Tm 2.25-2.28
O: 0.2500 0.2902 0.6699  3 Tm 2.25-2.28
O: 0.7500 0.2098 0.1699  3 Tm 2.25-2.28
O: 0.2500 0.7902 0.8301  3 Tm 2.25-2.28

(6)
DFT (GGA-PBE) results for a relaxed structure of AlTeI7.

Output
The value obtained for the calculated volume is 52.61 Å³ per atom. The electronic total energy is -42.06 eV for the cell shown. As for the MP2020-corrected energy: -0.1934 Ry per atom. The space group is Pc, No. 7.

Unit cell a=7.4803 b=7.7589 c=16.8611 alpha=75.38 beta=90.00 gamma=90.00
With the nearest neighbours (Å) after each atom.
Fractional positions:
Al: 0.9956 0.7117 0.6544  4 I 2.55-2.59
Al: 0.0044 0.7117 0.1544  4 I 2.55-2.59
Te: 0.5977 0.9982 0.5017  3 I 2.77-2.79
Te: 0.4023 0.9982 0.0017  3 I 2.77-2.79
I: 0.3844 0.8918 0.3887  1 Te 2.77
I: 0.3933 0.2717 0.5329  1 Te 2.77
I: 0.1695 0.2155 0.8903  1 Te 2.79
I: 0.8305 0.2155 0.3903  1 Te 2.79
I: 0.1198 0.0255 0.1548  1 Al 2.58
I: 0.6067 0.2717 0.0329  1 Te 2.77
I: 0.1260 0.6472 0.0211  1 Al 2.59
I: 0.8740 0.6472 0.5211  1 Al 2.59
I: 0.6648 0.6862 0.1618  1 Al 2.55
I: 0.3352 0.6862 0.6618  1 Al 2.55
I: 0.1430 0.4900 0.2788  1 Al 2.57
I: 0.8570 0.4900 0.7788  1 Al 2.57
I: 0.6156 0.8918 0.8887  1 Te 2.77
I: 0.8802 0.0255 0.6548  1 Al 2.58

(7)
DFT (GGA-PBE) results for a relaxed structure of LiAgF4.

Output
The value obtained for the calculated volume is 12.94 Å³ per atom. The electronic total energy is -89.58 eV for the cell shown. As for the MP2020-corrected energy: -0.2970 Ry per atom. The space group is Pbcn, No. 60.

Unit cell a=4.8547 b=5.6452 c=11.3322 alpha=90.00 beta=90.00 gamma=90.00
With the nearest neighbours (Å) after each atom.
Fractional positions:
Li: 0.0000 0.2500 0.0624  4 F 1.96-2.03
Li: 0.0000 0.7500 0.9376  4 F 1.96-2.03
Li: 0.5000 0.2500 0.5624  4 F 1.96-2.03
Li: 0.5000 0.7500 0.4376  4 F 1.96-2.03
Ag: 0.0000 0.2500 0.3311  4 F 1.98-2.01
Ag: 0.0000 0.7500 0.6689  4 F 1.98-2.01
Ag: 0.5000 0.2500 0.8311  4 F 1.98-2.01
Ag: 0.5000 0.7500 0.1689  4 F 1.98-2.01
F: 0.2169 0.3860 0.2000  1 Ag 1.98, 1 Li 2.03
F: 0.2169 0.8860 0.8000  1 Ag 1.98, 1 Li 2.03
F: 0.2503 0.9033 0.0502  1 Li 1.96, 1 Ag 2.01
F: 0.2503 0.4033 0.9498  1 Li 1.96, 1 Ag 2.01
F: 0.2497 0.4033 0.4498  1 Li 1.96, 1 Ag 2.01
F: 0.2497 0.9033 0.5502  1 Li 1.96, 1 Ag 2.01
F: 0.2831 0.8860 0.3000  1 Ag 1.98, 1 Li 2.03
F: 0.2831 0.3860 0.7000  1 Ag 1.98, 1 Li 2.03
F: 0.7169 0.6140 0.3000  1 Ag 1.98, 1 Li 2.03
F: 0.7169 0.1140 0.7000  1 Ag 1.98, 1 Li 2.03
F: 0.7503 0.0967 0.4498  1 Li 1.96, 1 Ag 2.01
F: 0.7503 0.5967 0.5502  1 Li 1.96, 1 Ag 2.01
F: 0.7497 0.5967 0.0502  1 Li 1.96, 1 Ag 2.01
F: 0.7497 0.0967 0.9498  1 Li 1.96, 1 Ag 2.01
F: 0.7831 0.1140 0.2000  1 Ag 1.98, 1 Li 2.03
F: 0.7831 0.6140 0.8000  1 Ag 1.98, 1 Li 2.03

(8)
DFT (GGA-PBE) results for a relaxed structure of Ti2Al3.

Output
The value obtained for the calculated volume is 17.49 Å³ per atom. The electronic total energy is -110.06 eV for the cell shown. The space group is I4_1/amd, No. 141.

Unit cell a=6.1188 b=6.1188 c=10.2965 alpha=107.29 beta=107.29 gamma=90.00
With the nearest neighbours (Å) after each atom.
Fractional positions:
Ti: 0.2924 0.5241 0.5847  5 Al 2.72-2.93, 3 Ti 2.81-2.84
Ti: 0.2924 0.0606 0.5847  5 Al 2.72-2.93, 3 Ti 2.81-2.84
Ti: 0.3106 0.0424 0.0847  5 Al 2.72-2.93, 3 Ti 2.81-2.84
Ti: 0.9576 0.6894 0.9153  5 Al 2.72-2.93, 3 Ti 2.81-2.84
Ti: 0.9576 0.2259 0.9153  5 Al 2.72-2.93, 3 Ti 2.81-2.84
Ti: 0.7741 0.0424 0.0847  5 Al 2.72-2.93, 3 Ti 2.81-2.84
Ti: 0.9394 0.7076 0.4153  5 Al 2.72-2.93, 3 Ti 2.81-2.84
Ti: 0.4759 0.7076 0.4153  5 Al 2.72-2.93, 3 Ti 2.81-2.84
Al: 0.8010 0.0772 0.6021  5 Al 2.67-2.74, 3 Ti 2.81-2.93
Al: 0.8010 0.5249 0.6021  5 Al 2.67-2.74, 3 Ti 2.81-2.93
Al: 0.7749 0.5510 0.1021  5 Al 2.67-2.74, 3 Ti 2.81-2.93
Al: 0.4490 0.2251 0.8979  5 Al 2.67-2.74, 3 Ti 2.81-2.93
Al: 0.4490 0.6728 0.8979  5 Al 2.67-2.74, 3 Ti 2.81-2.93
Al: 0.3272 0.5510 0.1021  5 Al 2.67-2.74, 3 Ti 2.81-2.93
Al: 0.4751 0.1990 0.3979  5 Al 2.67-2.74, 3 Ti 2.81-2.93
Al: 0.9228 0.1990 0.3979  5 Al 2.67-2.74, 3 Ti 2.81-2.93
Al: 0.1250 0.3750 0.2500  4 Al 2.67, 4 Ti 2.72
Al: 0.1250 0.8750 0.2500  4 Al 2.67, 4 Ti 2.72
Al: 0.1250 0.8750 0.7500  4 Al 2.67, 4 Ti 2.72
Al: 0.6250 0.8750 0.7500  4 Al 2.67, 4 Ti 2.72